# 1
{"formula": "LaNi4Pt", "functional": "meta-GGA r2SCAN", "state": "relaxed", "ef_ev_per_atom": -0.45, "lattice_angstrom": [[2.450, -4.544, 0.000], [2.450, 4.544, 0.000], [0.000, 0.000, 4.007]], "species": ["La", "Ni", "Ni", "Ni", "Ni", "Pt"], "fractional_positions": [[0.000, 0.000, 0.000], [0.000, 0.500, 0.500], [0.317, 0.683, 0.000], [0.500, 0.000, 0.500], [0.683, 0.317, 0.000], [0.500, 0.500, 0.500]]}

# 2
{"formula": "LaNiSb", "functional": "meta-GGA r2SCAN", "state": "relaxed", "ef_ev_per_atom": -0.97, "lattice_angstrom": [[4.400, 0.000, 0.000], [-2.200, 3.811, 0.000], [0.000, 0.000, 8.510]], "species": ["La", "La", "Ni", "Ni", "Sb", "Sb"], "fractional_positions": [[0.000, 0.000, 0.000], [0.000, 0.000, 0.500], [0.333, 0.667, 0.250], [0.667, 0.333, 0.750], [0.333, 0.667, 0.750], [0.667, 0.333, 0.250]]}

# 3
{"formula": "LaSi2Ni2", "functional": "meta-GGA r2SCAN", "state": "relaxed", "ef_ev_per_atom": -0.78, "lattice_angstrom": [[-2.052, 2.052, 4.826], [2.052, -2.052, 4.826], [2.052, 2.052, -4.826]], "species": ["La", "Si", "Si", "Ni", "Ni"], "fractional_positions": [[0.000, 0.000, 0.000], [0.365, 0.365, 0.000], [0.635, 0.635, 0.000], [0.250, 0.750, 0.500], [0.750, 0.250, 0.500]]}

# 4
{"formula": "La3Si7Ni3", "functional": "meta-GGA r2SCAN", "state": "relaxed", "ef_ev_per_atom": -0.77, "lattice_angstrom": [[4.216, 0.000, 0.000], [0.000, 2.065, 13.082], [0.000, -2.065, 13.082]], "species": ["La", "La", "La", "Si", "Si", "Si", "Si", "Si", "Si", "Si", "Ni", "Ni", "Ni"], "fractional_positions": [[0.000, 0.000, 0.000], [0.000, 0.367, 0.367], [0.500, 0.685, 0.685], [0.000, 0.148, 0.148], [0.000, 0.592, 0.592], [0.000, 0.777, 0.777], [0.500, 0.092, 0.092], [0.500, 0.277, 0.277], [0.500, 0.461, 0.461], [0.500, 0.909, 0.909], [0.000, 0.235, 0.235], [0.500, 0.554, 0.554], [0.500, 0.819, 0.819]]}